(1)
Entry from the Materials Project: a relaxed structure of CuW3Cl7 (PBE).

POSCAR file:
```
CuW3Cl7
1.0
-10.945 0.707 7.235
-4.375 -11.084 -5.536
5.805 -7.021 9.468
Cl Cu W
56 8 24
direct
0.172 0.934 0.691
0.934 0.691 0.172
0.328 0.434 0.191
0.114 0.114 0.886
0.375 0.933 0.175
0.675 0.875 0.567
0.691 0.172 0.934
0.386 0.386 0.614
0.066 0.691 0.828
0.567 0.675 0.875
0.566 0.809 0.328
0.386 0.614 0.386
0.625 0.933 0.825
0.675 0.125 0.433
0.614 0.386 0.386
0.825 0.625 0.933
0.125 0.567 0.325
0.672 0.434 0.809
0.067 0.175 0.625
0.175 0.375 0.933
0.625 0.067 0.175
0.066 0.309 0.172
0.825 0.375 0.067
0.828 0.934 0.309
0.067 0.825 0.375
0.828 0.066 0.691
0.809 0.328 0.566
0.125 0.433 0.675
0.325 0.875 0.433
0.886 0.886 0.886
0.172 0.066 0.309
0.433 0.675 0.125
0.114 0.886 0.114
0.691 0.828 0.066
0.175 0.625 0.067
0.809 0.672 0.434
0.614 0.614 0.614
0.434 0.191 0.328
0.191 0.328 0.434
0.672 0.566 0.191
0.933 0.825 0.625
0.567 0.325 0.125
0.325 0.125 0.567
0.375 0.067 0.825
0.886 0.114 0.114
0.191 0.672 0.566
0.933 0.175 0.375
0.328 0.566 0.809
0.875 0.567 0.675
0.566 0.191 0.672
0.434 0.809 0.672
0.934 0.309 0.828
0.309 0.172 0.066
0.309 0.828 0.934
0.433 0.325 0.875
0.875 0.433 0.325
0.188 0.188 0.188
0.812 0.188 0.812
0.312 0.312 0.312
0.688 0.312 0.688
0.312 0.688 0.688
0.188 0.812 0.812
0.688 0.688 0.312
0.812 0.812 0.188
0.725 0.219 0.114
0.719 0.614 0.775
0.725 0.781 0.886
0.219 0.886 0.275
0.225 0.719 0.386
0.275 0.219 0.886
0.219 0.114 0.725
0.114 0.725 0.219
0.114 0.275 0.781
0.719 0.386 0.225
0.886 0.275 0.219
0.886 0.725 0.781
0.781 0.114 0.275
0.275 0.781 0.114
0.614 0.225 0.281
0.386 0.775 0.281
0.775 0.719 0.614
0.225 0.281 0.614
0.281 0.386 0.775
0.386 0.225 0.719
0.281 0.614 0.225
0.614 0.775 0.719
0.775 0.281 0.386
0.781 0.886 0.725
```

E_form = -11.830 eV per formula unit
Calculated total energy = -63.4 eV per formula unit

(2)
Entry from the Materials Project: a relaxed structure of ZrCu2Cl6 (PBE).

POSCAR file:
```
ZrCu2Cl6
1.0
11.624 0.086 -0.052
-5.738 9.529 -0.055
-0.037 -0.043 6.139
Cl Zr Cu
18 3 6
direct
0.203 0.101 0.731
0.541 0.766 0.804
0.107 0.218 0.267
0.226 0.770 0.799
0.441 0.883 0.268
0.893 0.110 0.719
0.885 0.445 0.754
0.789 0.895 0.268
0.224 0.447 0.783
0.561 0.115 0.727
0.438 0.558 0.253
0.890 0.782 0.731
0.566 0.441 0.742
0.779 0.554 0.212
0.124 0.562 0.247
0.106 0.894 0.268
0.772 0.229 0.205
0.466 0.231 0.199
0.000 0.998 0.491
0.336 0.670 0.034
0.656 0.325 0.974
0.417 0.837 0.628
0.768 0.232 0.573
0.767 0.534 0.586
0.900 0.801 0.110
0.102 0.207 0.890
0.238 0.474 0.410
```

E_form = -14.274 eV per formula unit
Calculated total energy = -38.4 eV per formula unit

(3)
Entry from the Materials Project: a relaxed structure of Dy6Cl13 (PBE).

POSCAR file:
```
Dy6Cl13
1.0
3.392 19.973 0.000
-3.392 19.973 0.000
0.000 1.034 6.725
Cl Dy
26 12
direct
0.530 0.672 0.285
0.202 0.282 0.374
0.270 0.366 0.589
0.963 0.874 0.825
0.730 0.634 0.411
0.037 0.126 0.175
0.328 0.470 0.215
0.470 0.328 0.715
0.050 0.950 0.750
0.798 0.718 0.626
0.947 0.727 0.929
0.053 0.273 0.071
0.402 0.659 0.048
0.672 0.530 0.785
0.126 0.037 0.675
0.659 0.402 0.548
0.598 0.341 0.952
0.718 0.798 0.126
0.950 0.050 0.250
0.273 0.053 0.571
0.634 0.730 0.911
0.282 0.202 0.874
0.727 0.947 0.429
0.366 0.270 0.089
0.341 0.598 0.452
0.874 0.963 0.325
0.597 0.002 0.815
0.658 0.084 0.052
0.916 0.342 0.448
0.002 0.597 0.315
0.998 0.403 0.685
0.403 0.998 0.185
0.719 0.201 0.587
0.342 0.916 0.948
0.084 0.658 0.552
0.799 0.281 0.913
0.281 0.799 0.413
0.201 0.719 0.087
```

E_form = -43.179 eV per formula unit
Calculated total energy = -86.9 eV per formula unit

(4)
Entry from the Materials Project: a relaxed structure of K2LiDyCl6 (PBE).

POSCAR file:
```
K2LiDyCl6
1.0
-5.790 -0.110 4.509
-1.259 5.664 4.494
-5.694 4.464 -1.230
Cl Dy K Li
6 1 2 1
direct
0.253 0.747 0.253
0.747 0.747 0.253
0.253 0.253 0.747
0.747 0.253 0.253
0.253 0.747 0.747
0.747 0.253 0.747
0.000 0.000 0.000
0.750 0.750 0.750
0.250 0.250 0.250
0.500 0.500 0.500
```

E_form = -24.345 eV per formula unit
Calculated total energy = -40.5 eV per formula unit